An optimized crystal structure of LiSnN, computed with PBE-GGA.

## Properties
For the energy above the most stable polymorph in this dataset, the calculation gives 0 meV/atom. The calculation puts the formation energy at -0.304 eV/atom.

Lattice parameters (Å, degrees): 3.2767 3.2767 10.0457 90.00 90.00 120.00
Space group P6_3mc (No. 186)
Symmetry-distinct sites (fractional):
Li (0.3333, 0.6667, 0.0000) x2
Sn (0.0000, 0.0000, 0.2689) x2
N (0.3333, 0.6667, 0.3859) x2